Computed, not measured: crystalline YBiTe3 at its relaxed geometry at the PBE level of DFT.

Summary:
Volume: 35.45 Å³ per atom
Final energy: -71.47 eV/cell

a b c (Å): 4.4073 4.4073 31.6116
angles (deg): 90.00 90.00 120.00
Space group R3m (No. 160, hexagonal axes)
Inequivalent atoms, fractional coordinates:
Y (0.0000, 0.0000, 0.0000) (multiplicity 3)
Bi (0.0000, 0.0000, 0.7978) (multiplicity 3)
Te (0.0000, 0.0000, 0.1849) (multiplicity 3)
Te (0.0000, 0.0000, 0.3948) (multiplicity 3)
Te (0.0000, 0.0000, 0.6150) (multiplicity 3)